Record 1
This record from the Materials Project database describes a geometry-optimized CeMg6Si structure. The functional is PBE.

As for the formation energy: 0.011 eV per atom. The magnetic moment is 1.673 μB/cell. The corrected total energy (MP2020 scheme) is -41.741 eV per cell.

Unit cell a=4.8988 b=5.8650 c=12.9722 alpha=90.00 beta=90.00 gamma=90.00
Closest atoms and distances in Å follow each position.
Sites, in units of the cell vectors:
Ce  0.5000  0.5000  0.6946  2 Si 3.03, 6 Mg 3.21-3.25
Ce  0.5000  0.0000  0.1946  2 Si 3.03, 6 Mg 3.21-3.25
Mg  0.5000  0.7530  0.9383  6 Mg 2.90-3.06, 1 Si 2.95
Mg  0.5000  0.2470  0.9383  6 Mg 2.90-3.06, 1 Si 2.95
Mg  0.0000  0.2508  0.5738  6 Mg 2.92-3.20, 2 Si 2.96, 2 Ce 3.25
Mg  0.0000  0.7492  0.5738  6 Mg 2.92-3.20, 2 Si 2.96, 2 Ce 3.25
Mg  0.0000  0.5000  0.8551  8 Mg 3.05-3.20, 2 Ce 3.21
Mg  0.0000  0.0000  0.7914  4 Mg 3.05-3.18, 2 Si 3.18
Mg  0.5000  0.2530  0.4383  6 Mg 2.90-3.06, 1 Si 2.95
Mg  0.5000  0.7470  0.4383  6 Mg 2.90-3.06, 1 Si 2.95
Mg  0.0000  0.7508  0.0738  6 Mg 2.92-3.20, 2 Si 2.96, 2 Ce 3.25
Mg  0.0000  0.2492  0.0738  6 Mg 2.92-3.20, 2 Si 2.96, 2 Ce 3.25
Mg  0.0000  0.0000  0.3551  8 Mg 3.05-3.20, 2 Ce 3.21
Mg  0.0000  0.5000  0.2914  4 Mg 3.05-3.18, 2 Si 3.18
Si  0.5000  0.0000  0.6345  8 Mg 2.95-3.18, 2 Ce 3.03
Si  0.5000  0.5000  0.1345  8 Mg 2.95-3.18, 2 Ce 3.03

Record 2
This record from the Materials Project database describes a geometry-optimized Ce6Mg23Sn structure. The functional is PBE.

As for the formation energy: -0.043 eV per atom. Its crystal system is cubic. As for the space group: Fm-3m, No. 225. The magnetic moment is 0.073 μB/cell.

Unit cell a=10.2442 b=10.2442 c=10.2442 alpha=60.00 beta=60.00 gamma=60.00
Closest atoms and distances in Å follow each position.
Sites, in units of the cell vectors:
Ce  0.7824  0.7824  0.2176  1 Sn 3.15, 4 Mg 3.41
Ce  0.2176  0.7824  0.2176  1 Sn 3.15, 4 Mg 3.41
Ce  0.7824  0.2176  0.2176  1 Sn 3.15, 4 Mg 3.41
Ce  0.2176  0.2176  0.7824  1 Sn 3.15, 4 Mg 3.41
Ce  0.7824  0.2176  0.7824  1 Sn 3.15, 4 Mg 3.41
Ce  0.2176  0.7824  0.7824  1 Sn 3.15, 4 Mg 3.41
Mg  0.8309  0.8309  0.5073  6 Mg 2.96-3.19
Mg  0.8309  0.5073  0.8309  6 Mg 2.96-3.19
Mg  0.5073  0.8309  0.8309  6 Mg 2.96-3.19
Mg  0.8309  0.8309  0.8309  6 Mg 2.96-3.19
Mg  0.1691  0.1691  0.4927  6 Mg 2.96-3.19
Mg  0.1691  0.4927  0.1691  6 Mg 2.96-3.19
Mg  0.4927  0.1691  0.1691  6 Mg 2.96-3.19
Mg  0.1691  0.1691  0.1691  6 Mg 2.96-3.19
Mg  0.6214  0.6214  0.1359  7 Mg 3.05-3.19, 3 Ce 3.41
Mg  0.6214  0.1359  0.6214  7 Mg 3.05-3.19, 3 Ce 3.41
Mg  0.1359  0.6214  0.6214  7 Mg 3.05-3.19, 3 Ce 3.41
Mg  0.6214  0.6214  0.6214  7 Mg 3.05-3.19, 3 Ce 3.41
Mg  0.3786  0.3786  0.8641  7 Mg 3.05-3.19, 3 Ce 3.41
Mg  0.3786  0.8641  0.3786  7 Mg 3.05-3.19, 3 Ce 3.41
Mg  0.8641  0.3786  0.3786  7 Mg 3.05-3.19, 3 Ce 3.41
Mg  0.3786  0.3786  0.3786  7 Mg 3.05-3.19, 3 Ce 3.41
Mg  0.0000  0.0000  0.5000  8 Mg 2.96-3.17
Mg  0.5000  0.0000  0.5000  8 Mg 2.96-3.17
Mg  0.0000  0.5000  0.5000  8 Mg 2.96-3.17
Mg  0.5000  0.5000  0.0000  8 Mg 2.96-3.17
Mg  0.0000  0.5000  0.0000  8 Mg 2.96-3.17
Mg  0.5000  0.0000  0.0000  8 Mg 2.96-3.17
Mg  0.5000  0.5000  0.5000  8 Mg 3.05
Sn  0.0000  0.0000  0.0000  6 Ce 3.15

Record 3
This record from the Materials Project database describes a geometry-optimized CeMg6Sn structure. The functional is PBE.

As for the formation energy: -0.055 eV per atom. The magnetic moment is 1.834 μB/cell.

Unit cell a=5.2163 b=6.3890 c=11.9145 alpha=90.00 beta=90.00 gamma=90.00
Closest atoms and distances in Å follow each position.
Sites, in units of the cell vectors:
Ce  0.5000  0.5000  0.1754  2 Sn 3.20, 10 Mg 3.25-3.41
Ce  0.5000  0.0000  0.6754  2 Sn 3.20, 10 Mg 3.25-3.41
Mg  0.5000  0.2508  0.4224  8 Mg 3.18-3.26, 2 Sn 3.28-3.48, 2 Ce 3.35-3.41
Mg  0.5000  0.7492  0.4224  8 Mg 3.18-3.26, 2 Sn 3.28-3.48, 2 Ce 3.35-3.41
Mg  0.0000  0.7482  0.0758  8 Mg 3.17-3.50, 2 Sn 3.24, 2 Ce 3.28
Mg  0.0000  0.2518  0.0758  8 Mg 3.17-3.50, 2 Sn 3.24, 2 Ce 3.28
Mg  0.0000  0.0000  0.3274  10 Mg 3.20-3.40, 2 Sn 3.26
Mg  0.0000  0.5000  0.3376  10 Mg 3.20-3.50, 2 Ce 3.25
Mg  0.5000  0.7508  0.9224  8 Mg 3.18-3.26, 2 Sn 3.28-3.48, 2 Ce 3.35-3.41
Mg  0.5000  0.2492  0.9224  8 Mg 3.18-3.26, 2 Sn 3.28-3.48, 2 Ce 3.35-3.41
Mg  0.0000  0.2482  0.5758  8 Mg 3.17-3.50, 2 Sn 3.24, 2 Ce 3.28
Mg  0.0000  0.7518  0.5758  8 Mg 3.17-3.50, 2 Sn 3.24, 2 Ce 3.28
Mg  0.0000  0.5000  0.8274  10 Mg 3.20-3.40, 2 Sn 3.26
Mg  0.0000  0.0000  0.8376  10 Mg 3.20-3.50, 2 Ce 3.25
Sn  0.5000  0.0000  0.1632  2 Ce 3.20, 10 Mg 3.24-3.48
Sn  0.5000  0.5000  0.6632  2 Ce 3.20, 10 Mg 3.24-3.48

Short version: final energy = -2.6177; -2.5902; -2.4977 eV/atom, in the order given.